(1)
A plane-wave DFT calculation with PBE with a Hubbard U was carried out for crystalline MgFeCo5O12 at its relaxed geometry.

Values from the calculation:
Volume (Å³/cell): 418.1
ΔE_f (eV/atom): -1.30
Total magnetization (μB/cell): 22.05
Uncorrected energy (eV for the cell shown): -222.056

CIF file:
```
data_MgFeCo5O12
_cell_length_a 5.008
_cell_length_b 8.557
_cell_length_c 9.860
_cell_angle_alpha 90.00
_cell_angle_beta 98.32
_cell_angle_gamma 90.00
_space_group_name_H-M_alt 'C 1 m 1'
_space_group_IT_number 8
loop_
_space_group_symop_operation_xyz
'x,y,z'
'x,-y,z'
'x+1/2,y+1/2,z'
'x+1/2,-y+1/2,z'
loop_
_atom_site_label
_atom_site_fract_x
_atom_site_fract_y
_atom_site_fract_z
Mg1 0.000 0.000 0.000
Fe1 0.409 0.500 0.709
Co1 0.395 0.335 0.256
Co2 0.397 0.000 0.258
Co3 0.425 0.167 0.764
O1 0.021 0.500 0.657
O2 0.060 0.000 0.357
O3 0.082 0.188 0.656
O4 0.094 0.332 0.348
O5 0.193 0.161 0.154
O6 0.233 0.500 0.145
O7 0.274 0.000 0.858
O8 0.291 0.338 0.859
```

---

(2)
A plane-wave DFT calculation with PBE with a Hubbard U was carried out for crystalline MgFeCo5O12 at its relaxed geometry.

Values from the calculation:
Volume (Å³/cell): 425.3
ΔE_f (eV/atom): -1.30
Total magnetization (μB/cell): 13.57
Uncorrected energy (eV for the cell shown): -222.143

CIF file:
```
data_MgFeCo5O12
_cell_length_a 5.000
_cell_length_b 8.584
_cell_length_c 9.999
_cell_angle_alpha 90.00
_cell_angle_beta 97.61
_cell_angle_gamma 90.00
_space_group_name_H-M_alt 'C 1 m 1'
_space_group_IT_number 8
loop_
_space_group_symop_operation_xyz
'x,y,z'
'x,-y,z'
'x+1/2,y+1/2,z'
'x+1/2,-y+1/2,z'
loop_
_atom_site_label
_atom_site_fract_x
_atom_site_fract_y
_atom_site_fract_z
Mg1 0.000 0.000 0.000
Fe1 0.103 0.500 0.735
Co1 0.080 0.333 0.251
Co2 0.085 0.000 0.263
Co3 0.110 0.167 0.753
O1 0.201 0.158 0.150
O2 0.237 0.500 0.154
O3 0.283 0.000 0.858
O4 0.316 0.336 0.856
O5 0.402 0.179 0.655
O6 0.441 0.000 0.349
O7 0.445 0.329 0.349
O8 0.447 0.500 0.654
```

---

(3)
A plane-wave DFT calculation with PBE with a Hubbard U was carried out for crystalline MgFe2CoO7 at its relaxed geometry.

Values from the calculation:
Volume (Å³/cell): 982.6
ΔE_f (eV/atom): -1.38
Total magnetization (μB/cell): 80.05
Uncorrected energy (eV for the cell shown): -516.361

CIF file:
```
data_MgFe2CoO7
_cell_length_a 7.140
_cell_length_b 13.333
_cell_length_c 10.877
_cell_angle_alpha 90.00
_cell_angle_beta 108.38
_cell_angle_gamma 90.00
_space_group_name_H-M_alt 'P 1 21/c 1'
_space_group_IT_number 14
loop_
_space_group_symop_operation_xyz
'x,y,z'
'-x,-y,-z'
'-x,y+1/2,-z+1/2'
'x,-y+1/2,z+1/2'
loop_
_atom_site_label
_atom_site_fract_x
_atom_site_fract_y
_atom_site_fract_z
Mg1 0.049 0.012 0.273
Mg2 0.312 0.637 0.446
Fe1 0.123 0.655 0.041
Fe2 0.173 0.121 0.030
Fe3 0.414 0.008 0.686
Fe4 0.471 0.715 0.765
Co1 0.022 0.233 0.752
Co2 0.379 0.183 0.432
O1 0.006 0.125 0.857
O2 0.007 0.154 0.129
O3 0.009 0.632 0.862
O4 0.095 0.165 0.392
O5 0.205 0.522 0.045
O6 0.228 0.732 0.276
O7 0.241 0.511 0.532
O8 0.266 0.540 0.288
O9 0.290 0.232 0.792
O10 0.363 0.072 0.329
O11 0.364 0.730 0.074
O12 0.407 0.201 0.058
O13 0.437 0.586 0.673
O14 0.475 0.119 0.593
```

---

(4)
A plane-wave DFT calculation with PBE with a Hubbard U was carried out for crystalline MgFe4Co2O8 at its relaxed geometry.

Values from the calculation:
Volume (Å³/cell): 745.7
ΔE_f (eV/atom): -1.12
Total magnetization (μB/cell): 95.98
Uncorrected energy (eV for the cell shown): -353.107

CIF file:
```
data_MgFe4Co2O8
_cell_length_a 9.068
_cell_length_b 9.068
_cell_length_c 9.068
_cell_angle_alpha 90.00
_cell_angle_beta 90.00
_cell_angle_gamma 90.00
_space_group_name_H-M_alt 'F -4 3 m'
_space_group_IT_number 216
_space_group_name_Hall 'F -4 2 3'
loop_
_atom_site_label
_atom_site_fract_x
_atom_site_fract_y
_atom_site_fract_z
Mg1 0.000 0.000 0.000
Fe1 0.144 0.144 0.856
Co1 0.000 0.000 0.500
Co2 0.250 0.250 0.250
O1 0.119 0.119 0.119
O2 0.132 0.132 0.632
```

---

(5)
A plane-wave DFT calculation with PBE with a Hubbard U was carried out for crystalline MgFeCo2O6 at its relaxed geometry.

Values from the calculation:
Volume (Å³/cell): 107.1
ΔE_f (eV/atom): -1.54
Total magnetization (μB/cell): 8.00
Uncorrected energy (eV for the cell shown): -59.701

CIF file:
```
data_MgFeCo2O6
_cell_length_a 2.982
_cell_length_b 5.915
_cell_length_c 6.433
_cell_angle_alpha 103.03
_cell_angle_beta 102.98
_cell_angle_gamma 92.76
_space_group_name_H-M_alt 'P 1'
_space_group_IT_number 1
loop_
_space_group_symop_operation_xyz
'x,y,z'
loop_
_atom_site_label
_atom_site_fract_x
_atom_site_fract_y
_atom_site_fract_z
Mg1 0.000 0.000 0.000
Fe1 0.339 0.213 0.660
Co1 0.014 0.506 0.028
Co2 0.661 0.830 0.359
O1 0.139 0.622 0.339
O2 0.172 0.039 0.342
O3 0.494 0.758 0.047
O4 0.532 0.255 0.002
O5 0.819 0.967 0.661
O6 0.888 0.436 0.722
```

---

(6)
A plane-wave DFT calculation with PBE with a Hubbard U was carried out for crystalline MgFe4Co2O8 at its relaxed geometry.

Values from the calculation:
Volume (Å³/cell): 330.6
ΔE_f (eV/atom): -1.49
Total magnetization (μB/cell): 48.00
Uncorrected energy (eV for the cell shown): -187.778

CIF file:
```
data_MgFe4Co2O8
_cell_length_a 10.326
_cell_length_b 5.984
_cell_length_c 6.344
_cell_angle_alpha 90.00
_cell_angle_beta 122.50
_cell_angle_gamma 90.00
_space_group_name_H-M_alt 'C 1 2/m 1'
_space_group_IT_number 12
loop_
_space_group_symop_operation_xyz
'x,y,z'
'-x,-y,-z'
'-x,y,-z'
'x,-y,z'
'x+1/2,y+1/2,z'
'-x+1/2,-y+1/2,-z'
'-x+1/2,y+1/2,-z'
'x+1/2,-y+1/2,z'
loop_
_atom_site_label
_atom_site_fract_x
_atom_site_fract_y
_atom_site_fract_z
Mg1 0.000 0.000 0.000
Fe1 0.150 0.000 0.461
Fe2 0.250 0.250 0.000
Co1 0.000 0.500 0.000
Co2 0.000 0.500 0.500
O1 0.011 0.248 0.768
O2 0.231 0.500 0.184
O3 0.241 0.000 0.230
```

---

(7)
A plane-wave DFT calculation with PBE with a Hubbard U was carried out for crystalline MgFe4Co2O8 at its relaxed geometry.

Values from the calculation:
Volume (Å³/cell): 336.7
ΔE_f (eV/atom): -1.48
Total magnetization (μB/cell): 8.00
Uncorrected energy (eV for the cell shown): -187.257

CIF file:
```
data_MgFe4Co2O8
_cell_length_a 6.105
_cell_length_b 6.539
_cell_length_c 8.434
_cell_angle_alpha 90.00
_cell_angle_beta 90.00
_cell_angle_gamma 90.00
_space_group_name_H-M_alt 'I m m 2'
_space_group_IT_number 44
loop_
_space_group_symop_operation_xyz
'x,y,z'
'-x,-y,z'
'-x,y,z'
'x,-y,z'
'x+1/2,y+1/2,z+1/2'
'-x+1/2,-y+1/2,z+1/2'
'-x+1/2,y+1/2,z+1/2'
'x+1/2,-y+1/2,z+1/2'
loop_
_atom_site_label
_atom_site_fract_x
_atom_site_fract_y
_atom_site_fract_z
Mg1 0.000 0.000 0.000
Fe1 0.000 0.000 0.319
Fe2 0.000 0.290 0.573
Fe3 0.000 0.500 0.894
Co1 0.223 0.500 0.260
O1 0.000 0.205 0.816
O2 0.000 0.305 0.340
O3 0.236 0.000 0.523
O4 0.238 0.500 0.635
```

---

(8)
A plane-wave DFT calculation with PBE with a Hubbard U was carried out for crystalline MgFe4Co2O8 at its relaxed geometry.

Values from the calculation:
Volume (Å³/cell): 492.4
ΔE_f (eV/atom): -1.54
Total magnetization (μB/cell): 11.88
Uncorrected energy (eV for the cell shown): -283.610

CIF file:
```
data_MgFe4Co2O8
_cell_length_a 5.9803
_cell_length_b 5.9803
_cell_length_c 15.8989
_cell_angle_alpha 90.00
_cell_angle_beta 90.00
_cell_angle_gamma 120.00
_space_group_name_H-M_alt 'R -3 m'
_space_group_IT_number 166
_space_group_name_Hall '-R 3 2"'
loop_
_atom_site_label
_atom_site_fract_x
_atom_site_fract_y
_atom_site_fract_z
Mg1 0.0000 0.0000 0.0000
Fe1 0.0000 0.0000 0.5000
Fe2 0.0000 0.5000 0.0000
Co1 0.0000 0.0000 0.1524
O1 0.0000 0.0000 0.2698
O2 0.0021 0.5011 0.7444
```

---

(9)
A plane-wave DFT calculation with PBE with a Hubbard U was carried out for crystalline MgFeCo2O6 at its relaxed geometry.

Values from the calculation:
Volume (Å³/cell): 105.4
ΔE_f (eV/atom): -1.52
Total magnetization (μB/cell): 7.68
Uncorrected energy (eV for the cell shown): -59.570

CIF file:
```
data_MgFeCo2O6
_cell_length_a 2.898
_cell_length_b 5.448
_cell_length_c 7.093
_cell_angle_alpha 74.25
_cell_angle_beta 78.27
_cell_angle_gamma 89.85
_space_group_name_H-M_alt 'P 1'
_space_group_IT_number 1
loop_
_space_group_symop_operation_xyz
'x,y,z'
loop_
_atom_site_label
_atom_site_fract_x
_atom_site_fract_y
_atom_site_fract_z
Mg1 0.000 0.000 0.000
Fe1 0.927 0.437 0.147
Co1 0.278 0.028 0.444
Co2 0.620 0.646 0.758
O1 0.077 0.411 0.845
O2 0.135 0.897 0.725
O3 0.423 0.157 0.157
O4 0.464 0.699 0.069
O5 0.774 0.802 0.450
O6 0.783 0.260 0.436
```

---

(10)
A plane-wave DFT calculation with PBE with a Hubbard U was carried out for crystalline MgFeCo2O6 at its relaxed geometry.

Values from the calculation:
Volume (Å³/cell): 110.0
ΔE_f (eV/atom): -1.51
Total magnetization (μB/cell): 1.46
Uncorrected energy (eV for the cell shown): -59.396

CIF file:
```
data_MgFeCo2O6
_cell_length_a 2.907
_cell_length_b 5.259
_cell_length_c 7.759
_cell_angle_alpha 108.87
_cell_angle_beta 100.79
_cell_angle_gamma 90.15
_space_group_name_H-M_alt 'P 1'
_space_group_IT_number 1
loop_
_space_group_symop_operation_xyz
'x,y,z'
loop_
_atom_site_label
_atom_site_fract_x
_atom_site_fract_y
_atom_site_fract_z
Mg1 0.000 0.000 0.000
Fe1 0.280 0.480 0.559
Co1 0.618 0.532 0.236
Co2 0.945 0.470 0.890
O1 0.072 0.700 0.143
O2 0.129 0.292 0.261
O3 0.425 0.697 0.849
O4 0.475 0.265 0.951
O5 0.746 0.687 0.490
O6 0.816 0.288 0.632
```

---

(11)
A plane-wave DFT calculation with PBE with a Hubbard U was carried out for crystalline MgFeCo2O6 at its relaxed geometry.

Values from the calculation:
Volume (Å³/cell): 217.9
ΔE_f (eV/atom): -1.54
Total magnetization (μB/cell): 19.99
Uncorrected energy (eV for the cell shown): -119.387

CIF file:
```
data_MgFeCo2O6
_cell_length_a 13.028
_cell_length_b 2.886
_cell_length_c 5.922
_cell_angle_alpha 90.00
_cell_angle_beta 101.97
_cell_angle_gamma 90.00
_space_group_name_H-M_alt 'C 1 m 1'
_space_group_IT_number 8
loop_
_space_group_symop_operation_xyz
'x,y,z'
'x,-y,z'
'x+1/2,y+1/2,z'
'x+1/2,-y+1/2,z'
loop_
_atom_site_label
_atom_site_fract_x
_atom_site_fract_y
_atom_site_fract_z
Mg1 0.000 0.000 0.000
Fe1 0.000 0.000 0.500
Co1 0.185 0.500 0.823
Co2 0.324 0.000 0.195
O1 0.000 0.500 0.256
O2 0.007 0.500 0.747
O3 0.164 0.000 0.615
O4 0.165 0.000 0.026
O5 0.332 0.500 0.972
O6 0.343 0.500 0.404
```

---

(12)
A plane-wave DFT calculation with PBE with a Hubbard U was carried out for crystalline MgFe4Co2O8 at its relaxed geometry.

Values from the calculation:
Volume (Å³/cell): 343.8
ΔE_f (eV/atom): -1.50
Total magnetization (μB/cell): 48.00
Uncorrected energy (eV for the cell shown): -187.888

CIF file:
```
data_MgFe4Co2O8
_cell_length_a 6.065
_cell_length_b 6.140
_cell_length_c 9.233
_cell_angle_alpha 90.00
_cell_angle_beta 90.00
_cell_angle_gamma 90.00
_space_group_name_H-M_alt 'I m m 2'
_space_group_IT_number 44
loop_
_space_group_symop_operation_xyz
'x,y,z'
'-x,-y,z'
'-x,y,z'
'x,-y,z'
'x+1/2,y+1/2,z+1/2'
'-x+1/2,-y+1/2,z+1/2'
'-x+1/2,y+1/2,z+1/2'
'x+1/2,-y+1/2,z+1/2'
loop_
_atom_site_label
_atom_site_fract_x
_atom_site_fract_y
_atom_site_fract_z
Mg1 0.000 0.000 0.000
Fe1 0.000 0.255 0.397
Fe2 0.218 0.500 0.696
Co1 0.000 0.000 0.716
Co2 0.000 0.500 0.050
O1 0.000 0.221 0.166
O2 0.000 0.278 0.616
O3 0.228 0.000 0.413
O4 0.240 0.500 0.375
```

---

(13)
A plane-wave DFT calculation with PBE with a Hubbard U was carried out for crystalline MgFeCo2O6 at its relaxed geometry.

Values from the calculation:
Volume (Å³/cell): 107.8
ΔE_f (eV/atom): -1.36
Total magnetization (μB/cell): 2.00
Uncorrected energy (eV for the cell shown): -57.944

CIF file:
```
data_MgFeCo2O6
_cell_length_a 2.930
_cell_length_b 5.410
_cell_length_c 7.343
_cell_angle_alpha 70.87
_cell_angle_beta 78.73
_cell_angle_gamma 87.88
_space_group_name_H-M_alt 'P 1'
_space_group_IT_number 1
loop_
_space_group_symop_operation_xyz
'x,y,z'
loop_
_atom_site_label
_atom_site_fract_x
_atom_site_fract_y
_atom_site_fract_z
Mg1 0.000 0.000 0.000
Fe1 0.731 0.942 0.557
Co1 0.047 0.572 0.876
Co2 0.358 0.318 0.238
O1 0.219 0.700 0.600
O2 0.229 0.180 0.524
O3 0.498 0.298 0.949
O4 0.614 0.856 0.836
O5 0.845 0.042 0.280
O6 0.931 0.579 0.140
```

---

(14)
A plane-wave DFT calculation with PBE with a Hubbard U was carried out for crystalline MgFeCo5O12 at its relaxed geometry.

Values from the calculation:
Volume (Å³/cell): 213.9
ΔE_f (eV/atom): -1.31
Total magnetization (μB/cell): 9.04
Uncorrected energy (eV for the cell shown): -111.196

CIF file:
```
data_MgFeCo5O12
_cell_length_a 4.962
_cell_length_b 4.968
_cell_length_c 10.066
_cell_angle_alpha 93.84
_cell_angle_beta 94.28
_cell_angle_gamma 119.45
_space_group_name_H-M_alt 'P 1'
_space_group_IT_number 1
loop_
_space_group_symop_operation_xyz
'x,y,z'
loop_
_atom_site_label
_atom_site_fract_x
_atom_site_fract_y
_atom_site_fract_z
Mg1 0.000 0.000 0.000
Fe1 0.257 0.591 0.750
Co1 0.055 0.727 0.247
Co2 0.392 0.395 0.252
Co3 0.591 0.259 0.752
Co4 0.726 0.058 0.247
Co5 0.919 0.920 0.735
O1 0.028 0.353 0.147
O2 0.054 0.055 0.345
O3 0.238 0.918 0.651
O4 0.270 0.258 0.852
O5 0.350 0.031 0.148
O6 0.421 0.760 0.337
O7 0.573 0.553 0.651
O8 0.647 0.965 0.852
O9 0.727 0.730 0.138
O10 0.759 0.423 0.337
O11 0.874 0.220 0.652
O12 0.941 0.636 0.852
```

---

(15)
A plane-wave DFT calculation with PBE with a Hubbard U was carried out for crystalline MgFe4Co2O8 at its relaxed geometry.

Values from the calculation:
Volume (Å³/cell): 306.4
ΔE_f (eV/atom): -1.29
Total magnetization (μB/cell): 20.00
Uncorrected energy (eV for the cell shown): -181.692

CIF file:
```
data_MgFe4Co2O8
_cell_length_a 10.136
_cell_length_b 5.843
_cell_length_c 6.638
_cell_angle_alpha 90.00
_cell_angle_beta 128.81
_cell_angle_gamma 90.00
_space_group_name_H-M_alt 'C 1 2/m 1'
_space_group_IT_number 12
loop_
_space_group_symop_operation_xyz
'x,y,z'
'-x,-y,-z'
'-x,y,-z'
'x,-y,z'
'x+1/2,y+1/2,z'
'-x+1/2,-y+1/2,-z'
'-x+1/2,y+1/2,-z'
'x+1/2,-y+1/2,z'
loop_
_atom_site_label
_atom_site_fract_x
_atom_site_fract_y
_atom_site_fract_z
Mg1 0.000 0.000 0.000
Fe1 0.213 0.000 0.496
Fe2 0.250 0.250 0.000
Co1 0.000 0.500 0.000
Co2 0.000 0.500 0.500
O1 0.012 0.261 0.235
O2 0.236 0.000 0.807
O3 0.247 0.500 0.782
```